# 1
The following is a PBE calculation of a relaxed Rb4Cu8Ge3S12 crystal, from the Materials Project.

Unit cell a=12.6943 b=12.6943 c=12.6943 alpha=121.85 beta=121.85 gamma=86.82
Last column: nearest neighbours and their distance in Å.
Fractional coordinates of all 54 atoms:
Rb  0.0740  0.0740  0.6481  4 S 3.15-3.26
Rb  0.0986  0.0986  0.0000  4 S 3.37-3.38, 1 Rb 3.64
Rb  0.4014  0.4014  0.0000  4 S 3.37-3.38, 1 Rb 3.64
Rb  0.4260  0.4260  0.3519  4 S 3.15-3.26
Rb  0.5740  0.9260  0.0000  4 S 3.15-3.26
Rb  0.5986  0.5986  0.0000  4 S 3.37-3.38, 1 Rb 3.64
Rb  0.9014  0.9014  0.0000  4 S 3.37-3.38, 1 Rb 3.64
Rb  0.9260  0.5740  0.0000  4 S 3.15-3.26
Cu  0.0867  0.4041  0.6761  3 S 2.24-2.25
Cu  0.0894  0.7720  0.6761  3 S 2.24-2.25
Cu  0.0959  0.4133  0.3239  3 S 2.24-2.25
Cu  0.2280  0.9041  0.3174  3 S 2.24-2.25
Cu  0.2719  0.5905  0.6810  3 S 2.22-2.25
Cu  0.4095  0.0905  0.3186  3 S 2.22-2.25
Cu  0.4095  0.0905  0.6814  3 S 2.22-2.25
Cu  0.4091  0.7281  0.3186  3 S 2.22-2.25
Cu  0.5867  0.9106  0.6826  3 S 2.24-2.25
Cu  0.5894  0.9133  0.3174  3 S 2.24-2.25
Cu  0.5959  0.2720  0.6826  3 S 2.24-2.25
Cu  0.7280  0.4106  0.3239  3 S 2.24-2.25
Cu  0.7719  0.0909  0.6814  3 S 2.22-2.25
Cu  0.9095  0.2281  0.3190  3 S 2.22-2.25
Cu  0.9095  0.5909  0.3190  3 S 2.22-2.25
Cu  0.9091  0.5905  0.6810  3 S 2.22-2.25
Ge  0.2494  0.7494  0.9987  4 S 2.26-2.27
Ge  0.2500  0.7500  0.5000  4 S 2.28
Ge  0.2506  0.2494  0.5000  4 S 2.26-2.27
Ge  0.7494  0.7506  0.5000  4 S 2.26-2.27
Ge  0.7500  0.2500  0.5000  4 S 2.28
Ge  0.7506  0.2506  0.0013  4 S 2.26-2.27
S  0.0684  0.7800  0.4941  2 Cu 2.22-2.24, 1 Ge 2.28
S  0.0698  0.2207  0.2888  2 Cu 2.25, 1 Ge 2.27
S  0.0776  0.5748  0.8580  2 Cu 2.24, 1 Ge 2.26
S  0.2168  0.0748  0.4972  2 Cu 2.24, 1 Ge 2.26
S  0.2189  0.9302  0.1509  2 Cu 2.25, 1 Ge 2.27
S  0.2200  0.7141  0.2884  2 Cu 2.22-2.24, 1 Ge 2.28
S  0.2793  0.4302  0.7112  2 Cu 2.25, 1 Ge 2.27
S  0.2805  0.7832  0.8580  2 Cu 2.24, 1 Ge 2.26
S  0.2859  0.5743  0.5059  2 Cu 2.22-2.24, 1 Ge 2.28
S  0.4252  0.2832  0.5028  2 Cu 2.24, 1 Ge 2.26
S  0.4257  0.9316  0.7116  2 Cu 2.22-2.24, 1 Ge 2.28
S  0.4320  0.7207  0.1509  2 Cu 2.25, 1 Ge 2.27
S  0.5684  0.0743  0.2884  2 Cu 2.22-2.24, 1 Ge 2.28
S  0.5698  0.2811  0.8491  2 Cu 2.25, 1 Ge 2.27
S  0.5776  0.7195  0.5028  2 Cu 2.24, 1 Ge 2.26
S  0.7168  0.2195  0.1420  2 Cu 2.24, 1 Ge 2.26
S  0.7189  0.5680  0.2888  2 Cu 2.25, 1 Ge 2.27
S  0.7200  0.4316  0.5059  2 Cu 2.22-2.24, 1 Ge 2.28
S  0.7793  0.0680  0.8491  2 Cu 2.25, 1 Ge 2.27
S  0.7805  0.9224  0.4972  2 Cu 2.24, 1 Ge 2.26
S  0.7859  0.2800  0.7116  2 Cu 2.22-2.24, 1 Ge 2.28
S  0.9252  0.4224  0.1420  2 Cu 2.24, 1 Ge 2.26
S  0.9257  0.2141  0.4941  2 Cu 2.22-2.24, 1 Ge 2.28
S  0.9320  0.7811  0.7112  2 Cu 2.25, 1 Ge 2.27

The calculation puts the total DFT energy (no corrections) at -4.25 eV per atom. As for the crystal system: tetragonal. Its formation energy is -0.760 eV/atom.

# 2
The following is a PBE calculation of a relaxed Cu2GeS3 crystal, from the Materials Project.

Unit cell a=12.4493 b=6.5047 c=11.8668 alpha=79.50 beta=30.91 gamma=69.59
Last column: nearest neighbours and their distance in Å.
Fractional coordinates of all 24 atoms:
Cu  0.0000  0.0000  0.0000  4 S 2.29-2.32
Cu  0.2500  0.2500  0.2500  4 S 2.29-2.32
Cu  0.3314  0.6552  0.3343  4 S 2.28-2.32
Cu  0.4949  0.4949  0.5051  4 S 2.28-2.29
Cu  0.5709  0.9157  0.5948  4 S 2.28-2.32
Cu  0.6552  0.3314  0.6791  4 S 2.28-2.32
Cu  0.7449  0.7449  0.7551  4 S 2.28-2.29
Cu  0.9157  0.5709  0.9186  4 S 2.28-2.32
Ge  0.0908  0.4001  0.0717  4 S 2.23-2.38
Ge  0.1783  0.8126  0.1592  4 S 2.23-2.38
Ge  0.4001  0.0908  0.4374  4 S 2.23-2.38
Ge  0.8126  0.1783  0.8499  4 S 2.23-2.38
S  0.0340  0.2022  0.3013  2 Cu 2.32, 2 Ge 2.37-2.38
S  0.1169  0.6255  0.3803  1 Ge 2.23, 3 Cu 2.29-2.30
S  0.2022  0.0340  0.4625  2 Cu 2.32, 2 Ge 2.37-2.38
S  0.2890  0.4574  0.5441  1 Ge 2.24, 3 Cu 2.28-2.29
S  0.3728  0.8697  0.6245  1 Ge 2.23, 3 Cu 2.29-2.30
S  0.4574  0.2890  0.7096  1 Ge 2.24, 3 Cu 2.28-2.29
S  0.5404  0.7059  0.7926  1 Ge 2.24, 3 Cu 2.28-2.29
S  0.6255  0.1169  0.8772  1 Ge 2.23, 3 Cu 2.29-2.30
S  0.7059  0.5404  0.9610  1 Ge 2.24, 3 Cu 2.28-2.29
S  0.7875  0.9487  0.0478  2 Cu 2.32, 2 Ge 2.37-2.38
S  0.8697  0.3728  0.1331  1 Ge 2.23, 3 Cu 2.29-2.30
S  0.9487  0.7875  0.2160  2 Cu 2.32, 2 Ge 2.37-2.38

The calculation puts the total DFT energy (no corrections) at -4.52 eV per atom. As for the crystal system: orthorhombic. Its formation energy is -0.568 eV/atom.

# 3
The following is a PBE calculation of a relaxed Cu2GeS4 crystal, from the Materials Project.

Unit cell a=6.2389 b=6.2389 c=6.2389 alpha=129.64 beta=129.64 gamma=73.98
Last column: nearest neighbours and their distance in Å.
Fractional coordinates of all 7 atoms:
Cu  0.2500  0.7500  0.5000  4 S 2.27
Cu  0.7500  0.2500  0.5000  4 S 2.27
Ge  0.0000  0.0000  0.0000  4 S 2.26
S  0.1315  0.6238  0.0000  1 Ge 2.26, 2 Cu 2.27
S  0.3762  0.3762  0.5076  1 Ge 2.26, 2 Cu 2.27
S  0.6238  0.1315  0.0000  1 Ge 2.26, 2 Cu 2.27
S  0.8685  0.8685  0.4924  1 Ge 2.26, 2 Cu 2.27

The calculation puts the total DFT energy (no corrections) at -4.39 eV per atom. As for the crystal system: tetragonal. Its formation energy is -0.481 eV/atom.

# 4
The following is a PBE calculation of a relaxed Cu2GeS3 crystal, from the Materials Project.

Unit cell a=6.5111 b=6.5111 c=6.5153 alpha=99.39 beta=99.39 gamma=120.35
Last column: nearest neighbours and their distance in Å.
Fractional coordinates of all 12 atoms:
Cu  0.0846  0.9154  0.5000  4 S 2.29-2.33
Cu  0.2453  0.7416  0.0001  4 S 2.29-2.31
Cu  0.7416  0.2453  0.5001  4 S 2.29-2.31
Cu  0.9154  0.0846  0.0000  4 S 2.29-2.33
Ge  0.3912  0.5662  0.4807  4 S 2.24-2.38
Ge  0.5662  0.3912  0.9807  4 S 2.24-2.38
S  0.0280  0.1972  0.3739  1 Ge 2.24, 3 Cu 2.29-2.30
S  0.1972  0.0280  0.8739  1 Ge 2.24, 3 Cu 2.29-2.30
S  0.3694  0.8654  0.3721  1 Ge 2.24, 3 Cu 2.29-2.30
S  0.5365  0.7032  0.8675  2 Cu 2.31-2.33, 2 Ge 2.36-2.38
S  0.7032  0.5365  0.3675  2 Cu 2.31-2.33, 2 Ge 2.36-2.38
S  0.8654  0.3694  0.8721  1 Ge 2.24, 3 Cu 2.29-2.30

The calculation puts the total DFT energy (no corrections) at -4.53 eV per atom. As for the crystal system: monoclinic. Its formation energy is -0.571 eV/atom.

# 5
The following is a PBE calculation of a relaxed Cu2GeS3 crystal, from the Materials Project.

Unit cell a=6.4911 b=6.4911 c=6.4911 alpha=145.94 beta=60.04 gamma=132.14
Last column: nearest neighbours and their distance in Å.
Fractional coordinates of all 6 atoms:
Cu  0.1693  0.0000  0.1693  4 S 2.29-2.32
Cu  0.8307  0.0000  0.8307  4 S 2.29-2.32
Ge  0.5262  0.0262  0.5000  4 S 2.24-2.39
S  0.2521  0.2521  0.0000  2 Cu 2.32, 2 Ge 2.39
S  0.5916  0.2589  0.3328  1 Ge 2.24, 3 Cu 2.29
S  0.9261  0.2589  0.6672  1 Ge 2.24, 3 Cu 2.29

The calculation puts the total DFT energy (no corrections) at -4.53 eV per atom. As for the crystal system: orthorhombic. Its formation energy is -0.572 eV/atom.

# 6
The following is a PBE calculation of a relaxed ZnCu2GeSe2S2 crystal, from the Materials Project.

Unit cell a=6.7022 b=6.6925 c=5.4883 alpha=65.90 beta=65.72 gamma=48.38
Last column: nearest neighbours and their distance in Å.
Fractional coordinates of all 8 atoms:
Zn  0.0000  0.0000  0.0000  2 S 2.41, 2 Se 2.47
Cu  0.2658  0.2658  0.2342  2 S 2.29, 2 Se 2.41
Cu  0.7658  0.7658  0.7342  2 S 2.29, 2 Se 2.41
Ge  0.4992  0.4992  0.5008  2 S 2.30, 2 Se 2.41
Se  0.3894  0.8799  0.1201  2 Cu 2.41, 1 Ge 2.41, 1 Zn 2.47
Se  0.8799  0.3894  0.6106  2 Cu 2.41, 1 Ge 2.41, 1 Zn 2.47
S  0.1344  0.6184  0.8656  2 Cu 2.29, 1 Ge 2.30, 1 Zn 2.41
S  0.6184  0.1344  0.3816  2 Cu 2.29, 1 Ge 2.30, 1 Zn 2.41

The calculation puts the total DFT energy (no corrections) at -4.06 eV per atom. Its energy above the most stable polymorph in this dataset is 0.009 eV per atom. As for the crystal system: orthorhombic. Its formation energy is -0.518 eV/atom.

# 7
The following is a PBE calculation of a relaxed ZnCu2GeSe2S2 crystal, from the Materials Project.

Unit cell a=7.7463 b=6.7217 c=6.3776 alpha=90.00 beta=90.00 gamma=90.00
Last column: nearest neighbours and their distance in Å.
Fractional coordinates of all 16 atoms:
Zn  0.0000  0.1435  0.0000  2 S 2.34-2.39, 2 Se 2.50
Zn  0.5000  0.8565  0.5000  2 S 2.34-2.39, 2 Se 2.50
Cu  0.2480  0.3127  0.4881  2 S 2.30, 2 Se 2.43-2.46
Cu  0.2520  0.6873  0.9881  2 S 2.30, 2 Se 2.43-2.46
Cu  0.7480  0.6873  0.9881  2 S 2.30, 2 Se 2.43-2.46
Cu  0.7520  0.3127  0.4881  2 S 2.30, 2 Se 2.43-2.46
Ge  0.0000  0.8409  0.4987  2 S 2.27-2.31, 2 Se 2.42
Ge  0.5000  0.1591  0.9987  2 S 2.27-2.31, 2 Se 2.42
Se  0.2484  0.6607  0.3681  1 Ge 2.42, 2 Cu 2.43-2.46, 1 Zn 2.50
Se  0.2516  0.3393  0.8681  1 Ge 2.42, 2 Cu 2.43-2.46, 1 Zn 2.50
Se  0.7484  0.3393  0.8681  1 Ge 2.42, 2 Cu 2.43-2.46, 1 Zn 2.50
Se  0.7516  0.6607  0.3681  1 Ge 2.42, 2 Cu 2.43-2.46, 1 Zn 2.50
S  0.0000  0.1578  0.3738  1 Ge 2.27, 2 Cu 2.30, 1 Zn 2.39
S  0.0000  0.8208  0.8604  2 Cu 2.30, 1 Ge 2.31, 1 Zn 2.34
S  0.5000  0.1792  0.3604  2 Cu 2.30, 1 Ge 2.31, 1 Zn 2.34
S  0.5000  0.8422  0.8738  1 Ge 2.27, 2 Cu 2.30, 1 Zn 2.39

The calculation puts the total DFT energy (no corrections) at -4.07 eV per atom. Its energy above the most stable polymorph in this dataset is 0.000 eV per atom. As for the crystal system: orthorhombic. Its formation energy is -0.527 eV/atom.

# 8
The following is a PBE calculation of a relaxed Sm3CuGeS7 crystal, from the Materials Project.

Unit cell a=10.0713 b=10.0713 c=5.8728 alpha=90.00 beta=90.00 gamma=120.00
Last column: nearest neighbours and their distance in Å.
Fractional coordinates of all 24 atoms:
Sm  0.1295  0.7729  0.0000  7 S 2.80-3.04
Sm  0.2271  0.3566  0.0000  7 S 2.80-3.04
Sm  0.3566  0.1295  0.5000  7 S 2.80-3.04
Sm  0.6434  0.8705  0.0000  7 S 2.80-3.04
Sm  0.7729  0.6434  0.5000  7 S 2.80-3.04
Sm  0.8705  0.2271  0.5000  7 S 2.80-3.04
Cu  0.0000  0.0000  0.4446  3 S 2.26
Cu  0.0000  0.0000  0.9446  3 S 2.26
Ge  0.3333  0.6667  0.5839  4 S 2.20-2.25
Ge  0.6667  0.3333  0.0839  4 S 2.20-2.25
S  0.0945  0.8392  0.4679  1 Cu 2.26
S  0.1017  0.5194  0.7417  1 Ge 2.25
S  0.1608  0.2552  0.4679  1 Cu 2.26
S  0.2552  0.0945  0.9679  1 Cu 2.26
S  0.3333  0.6667  0.2086  1 Ge 2.20
S  0.4178  0.8983  0.7417  1 Ge 2.25
S  0.4806  0.5822  0.7417  1 Ge 2.25
S  0.5194  0.4178  0.2417  1 Ge 2.25
S  0.5822  0.1017  0.2417  1 Ge 2.25
S  0.6667  0.3333  0.7086  1 Ge 2.20
S  0.7448  0.9055  0.4679  1 Cu 2.26
S  0.8392  0.7448  0.9679  1 Cu 2.26
S  0.8983  0.4806  0.2417  1 Ge 2.25
S  0.9055  0.1608  0.9679  1 Cu 2.26

The calculation puts the total DFT energy (no corrections) at -5.77 eV per atom. As for the crystal system: hexagonal. The piezoelectric modulus e_max is 1.6 C/m². Its formation energy is -1.747 eV/atom.

What did the second record say?
The following is a PBE calculation of a relaxed Cu2GeS3 crystal, from the Materials Project.

Unit cell a=12.4493 b=6.5047 c=11.8668 alpha=79.50 beta=30.91 gamma=69.59
Last column: nearest neighbours and their distance in Å.
Fractional coordinates of all 24 atoms:
Cu  0.0000  0.0000  0.0000  4 S 2.29-2.32
Cu  0.2500  0.2500  0.2500  4 S 2.29-2.32
Cu  0.3314  0.6552  0.3343  4 S 2.28-2.32
Cu  0.4949  0.4949  0.5051  4 S 2.28-2.29
Cu  0.5709  0.9157  0.5948  4 S 2.28-2.32
Cu  0.6552  0.3314  0.6791  4 S 2.28-2.32
Cu  0.7449  0.7449  0.7551  4 S 2.28-2.29
Cu  0.9157  0.5709  0.9186  4 S 2.28-2.32
Ge  0.0908  0.4001  0.0717  4 S 2.23-2.38
Ge  0.1783  0.8126  0.1592  4 S 2.23-2.38
Ge  0.4001  0.0908  0.4374  4 S 2.23-2.38
Ge  0.8126  0.1783  0.8499  4 S 2.23-2.38
S  0.0340  0.2022  0.3013  2 Cu 2.32, 2 Ge 2.37-2.38
S  0.1169  0.6255  0.3803  1 Ge 2.23, 3 Cu 2.29-2.30
S  0.2022  0.0340  0.4625  2 Cu 2.32, 2 Ge 2.37-2.38
S  0.2890  0.4574  0.5441  1 Ge 2.24, 3 Cu 2.28-2.29
S  0.3728  0.8697  0.6245  1 Ge 2.23, 3 Cu 2.29-2.30
S  0.4574  0.2890  0.7096  1 Ge 2.24, 3 Cu 2.28-2.29
S  0.5404  0.7059  0.7926  1 Ge 2.24, 3 Cu 2.28-2.29
S  0.6255  0.1169  0.8772  1 Ge 2.23, 3 Cu 2.29-2.30
S  0.7059  0.5404  0.9610  1 Ge 2.24, 3 Cu 2.28-2.29
S  0.7875  0.9487  0.0478  2 Cu 2.32, 2 Ge 2.37-2.38
S  0.8697  0.3728  0.1331  1 Ge 2.23, 3 Cu 2.29-2.30
S  0.9487  0.7875  0.2160  2 Cu 2.32, 2 Ge 2.37-2.38

The calculation puts the total DFT energy (no corrections) at -4.52 eV per atom. As for the crystal system: orthorhombic. Its formation energy is -0.568 eV/atom.